16
Lattice="-3.584 2.823 -2.512 -4.508 -1.182 5.104 3.880 10.043 5.753" Properties=species:S:1:pos:R:3 comment="BaMg6Cd, optimized geometry, DFT PBE" relative_energy_mev_per_atom=8 dft_energy_ev_per_atom=-1.496 e_form_ev_per_atom=0.059 pbc="T T T"
Mg 1.042 7.941 7.439
Mg 0.610 10.353 5.368
Mg -3.584 4.741 5.043
Cd -3.438 2.394 2.197
Ba -1.136 3.110 -0.283
Mg -0.942 0.439 1.837
Mg -2.977 -0.094 4.141
Ba -1.449 7.541 5.145
Mg 1.217 5.518 4.466
Mg -1.255 4.870 7.265
Mg -1.242 5.355 2.391
Cd 0.756 8.006 2.522
Mg -1.555 9.785 7.820
Mg 3.224 8.345 4.780
Mg 1.356 3.510 2.011
Mg -0.970 2.732 4.456